(1)
# PBE-GGA LaMg14Si, relaxed
data_LaMg14Si
_cell_length_a 6.4299
_cell_length_b 6.4299
_cell_length_c 10.4509
_cell_angle_alpha 90.00
_cell_angle_beta 90.00
_cell_angle_gamma 120.00
_space_group_name_H-M_alt 'P 1'
_space_group_IT_number 1
_space_group_name_Hall 'P 1'
loop_
_atom_site_label
_atom_site_type_symbol
_atom_site_fract_x
_atom_site_fract_y
_atom_site_fract_z
_atom_site_occupancy
Mg1 Mg 0.3308 0.6617 0.3894 1
Mg2 Mg 0.3308 0.1692 0.8606 1
Mg3 Mg 0.8383 0.1692 0.8606 1
Mg4 Mg 0.6708 0.8292 0.6250 1
Mg5 Mg 0.8333 0.6667 0.3626 1
Mg6 Mg 0.1814 0.8407 0.1250 1
Mg7 Mg 0.3308 0.1692 0.3894 1
Mg8 Mg 0.6593 0.3186 0.1250 1
Mg9 Mg 0.3308 0.6617 0.8606 1
Mg10 Mg 0.8383 0.1692 0.3894 1
Mg11 Mg 0.6708 0.3416 0.6250 1
Mg12 Mg 0.6593 0.8407 0.1250 1
Mg13 Mg 0.1584 0.8292 0.6250 1
Mg14 Mg 0.8333 0.6667 0.8874 1
Si1 Si 0.1667 0.3333 0.6250 1
La1 La 0.1667 0.3333 0.1250 1
# Energy with MP2020 corrections in eV/cell: -31.98
# Formation energy in eV/f.u.: 0.786
# Magnetization in μB/cell: 0.00
# E above lowest polymorph in meV/atom: 51.3
# E in eV for the cell shown: -32.05
# Volume in Å³ per cell: 374

---

(2)
# PBE-GGA NaLiB2H10N2, relaxed
data_NaLiB2H10N2
_cell_length_a 5.4308
_cell_length_b 7.2933
_cell_length_c 14.8096
_cell_angle_alpha 90.00
_cell_angle_beta 90.00
_cell_angle_gamma 90.00
_space_group_name_H-M_alt 'P 1'
_space_group_IT_number 1
_space_group_name_Hall 'P 1'
loop_
_atom_site_label
_atom_site_type_symbol
_atom_site_fract_x
_atom_site_fract_y
_atom_site_fract_z
_atom_site_occupancy
Na1 Na 0.9334 0.6978 0.3318 1
Na2 Na 0.4334 0.3022 0.6682 1
Na3 Na 0.4334 0.6978 0.1682 1
Na4 Na 0.9334 0.3022 0.8318 1
H1 H 0.1809 0.9300 0.4566 1
H2 H 0.0179 0.3101 0.6705 1
H3 H 0.3048 0.2635 0.9850 1
H4 H 0.7499 0.2312 0.0443 1
H5 H 0.1377 0.9256 0.1158 1
H6 H 0.3558 0.3829 0.1208 1
H7 H 0.3650 0.9273 0.2936 1
H8 H 0.6809 0.0700 0.5434 1
H9 H 0.3650 0.0727 0.7936 1
H10 H 0.4667 0.1605 0.1870 1
H11 H 0.0179 0.6899 0.1705 1
H12 H 0.3048 0.7365 0.4850 1
H13 H 0.8650 0.0727 0.7064 1
H14 H 0.3391 0.5754 0.9134 1
H15 H 0.5759 0.5917 0.7283 1
H16 H 0.9667 0.1605 0.3130 1
H17 H 0.5179 0.6899 0.3295 1
H18 H 0.4667 0.8395 0.6870 1
H19 H 0.3391 0.4246 0.4134 1
H20 H 0.8048 0.7365 0.0150 1
H21 H 0.5759 0.4083 0.2283 1
H22 H 0.3558 0.6171 0.6208 1
H23 H 0.2499 0.2312 0.4557 1
H24 H 0.9667 0.8395 0.8130 1
H25 H 0.7499 0.7688 0.5443 1
H26 H 0.8650 0.9273 0.2064 1
H27 H 0.8558 0.3829 0.3792 1
H28 H 0.6377 0.0744 0.8842 1
H29 H 0.0759 0.5917 0.7717 1
H30 H 0.2499 0.7688 0.9557 1
H31 H 0.1377 0.0744 0.6158 1
H32 H 0.6377 0.9256 0.3842 1
H33 H 0.5179 0.3101 0.8295 1
H34 H 0.1809 0.0700 0.9566 1
H35 H 0.8391 0.5754 0.5866 1
H36 H 0.8048 0.2635 0.5150 1
H37 H 0.6809 0.9300 0.0434 1
H38 H 0.8558 0.6171 0.8792 1
H39 H 0.0759 0.4083 0.2717 1
H40 H 0.8391 0.4246 0.0866 1
N1 N 0.2770 0.7026 0.8955 1
N2 N 0.7464 0.8104 0.0697 1
N3 N 0.2770 0.2974 0.3955 1
N4 N 0.7464 0.1896 0.5697 1
N5 N 0.7770 0.7026 0.6045 1
N6 N 0.2464 0.8104 0.4303 1
N7 N 0.7770 0.2974 0.1045 1
N8 N 0.2464 0.1896 0.9303 1
Li1 Li 0.5642 0.1824 0.3226 1
Li2 Li 0.0642 0.8176 0.6774 1
Li3 Li 0.5642 0.8176 0.8226 1
Li4 Li 0.0642 0.1824 0.1774 1
B1 B 0.5357 0.3137 0.1608 1
B2 B 0.5357 0.6863 0.6608 1
B3 B 0.4497 0.8412 0.3584 1
B4 B 0.0357 0.3137 0.3392 1
B5 B 0.9497 0.8412 0.1416 1
B6 B 0.9497 0.1588 0.6416 1
B7 B 0.0357 0.6863 0.8392 1
B8 B 0.4497 0.1588 0.8584 1
# Energy with MP2020 corrections in eV/cell: -295.80
# Formation energy in eV/f.u.: -6.759
# Magnetization in μB/cell: 0.00
# E above lowest polymorph in meV/atom: 4.3
# E in eV for the cell shown: -292.91
# Volume in Å³ per cell: 587

---

(3)
# PBE-GGA Ti8BiO7, relaxed
data_Ti8BiO7
_cell_length_a 9.3369
_cell_length_b 9.3369
_cell_length_c 3.0367
_cell_angle_alpha 90.00
_cell_angle_beta 90.00
_cell_angle_gamma 130.23
_space_group_name_H-M_alt 'P 1'
_space_group_IT_number 1
_space_group_name_Hall 'P 1'
loop_
_atom_site_label
_atom_site_type_symbol
_atom_site_fract_x
_atom_site_fract_y
_atom_site_fract_z
_atom_site_occupancy
O1 O 0.3220 0.6780 0.0000 1
O2 O 0.0571 0.2973 0.0000 1
O3 O 0.2973 0.0571 0.0000 1
O4 O 0.9429 0.7027 0.0000 1
O5 O 0.0000 0.0000 0.5000 1
O6 O 0.7027 0.9429 0.0000 1
O7 O 0.6780 0.3220 0.0000 1
Ti1 Ti 0.1465 0.4884 0.5000 1
Ti2 Ti 0.5116 0.8535 0.5000 1
Ti3 Ti 0.2034 0.7966 0.0000 1
Ti4 Ti 0.7966 0.2034 0.0000 1
Ti5 Ti 0.8535 0.5116 0.5000 1
Ti6 Ti 0.8261 0.8261 0.0000 1
Ti7 Ti 0.4884 0.1465 0.5000 1
Ti8 Ti 0.1739 0.1739 0.0000 1
Bi1 Bi 0.5000 0.5000 0.5000 1
# Energy with MP2020 corrections in eV/cell: -142.39
# Formation energy in eV/f.u.: -40.696
# Magnetization in μB/cell: 0.45
# E in eV for the cell shown: -137.58
# Volume in Å³ per cell: 202